No. 1
VASP calculation (PBE) on a geometry-optimized MgU2Si2O18 structure.

a = 9.0714 Å, b = 9.0714 Å, c = 6.8030 Å
α = 79.87°, β = 79.87°, γ = 45.08°
With the nearest neighbours (Å) after each atom.
Sites, in units of the cell vectors:
O (0.3278, 0.6442, 0.3127)  1 O 1.29
O (0.9387, 0.5838, 0.8113)  1 Si 1.66
O (0.6722, 0.3558, 0.6873)  1 O 1.29
O (0.6442, 0.3278, 0.3127)  1 O 1.29
O (0.5466, 0.5466, 0.7310)  2 O 1.29
O (0.1108, 0.1108, 0.4231)  1 Si 1.59
O (0.1422, 0.1422, 0.9099)  1 U 1.82
O (0.3624, 0.3624, 0.8435)  1 U 1.82
O (0.3558, 0.6722, 0.6873)  1 O 1.29
O (0.0613, 0.4162, 0.1887)  1 Si 1.66
O (0.8892, 0.8892, 0.5769)  1 Si 1.59
O (0.8578, 0.8578, 0.0901)  1 U 1.82
O (0.4534, 0.4534, 0.2690)  2 O 1.29
O (0.7468, 0.7468, 0.4613)  1 Si 1.64
O (0.4162, 0.0613, 0.1887)  1 Si 1.66
O (0.5838, 0.9387, 0.8113)  1 Si 1.66
O (0.6376, 0.6376, 0.1565)  1 U 1.82
O (0.2532, 0.2532, 0.5387)  1 Si 1.64
Mg (0.0000, 0.0000, 0.5000)  2 O 1.83
Si (0.7931, 0.7931, 0.6529)  4 O 1.59-1.66
Si (0.2069, 0.2069, 0.3471)  4 O 1.59-1.66
U (0.2529, 0.2529, 0.8571)  2 O 1.82
U (0.7471, 0.7471, 0.1429)  2 O 1.82

Summary:
- ΔE_f: -40.28 eV per formula unit
- Excess energy over the best structure of this formula in the dataset: 0.0 meV per atom
- Calculated total energy: -7.1467 eV per atom
- Mass density: 3.6 g cm⁻³
- M_tot: 1.96 μB per formula unit



No. 2
VASP calculation (PBE) on a geometry-optimized MgU2Si2O18 structure.

a = 6.9448 Å, b = 7.1485 Å, c = 8.7250 Å
α = 114.18°, β = 111.52°, γ = 90.00°
With the nearest neighbours (Å) after each atom.
Sites, in units of the cell vectors:
O (0.7944, 0.0659, 0.1318)  1 Mg 2.08
O (0.7394, 0.8804, 0.7607)  1 U 1.85, 1 Mg 2.03
O (0.9041, 0.7118, 0.1029)  1 O 1.34
O (0.2606, 0.1196, 0.2393)  1 U 1.85, 1 Mg 2.03
O (0.5423, 0.6308, 0.2616)  1 U 1.79
O (0.0959, 0.2882, 0.8971)  1 O 1.34
O (0.4577, 0.3692, 0.7384)  1 U 1.79
O (0.3097, 0.5642, 0.4823)  1 Si 1.60
O (0.2056, 0.9341, 0.8682)  1 Mg 2.08
O (0.0289, 0.2356, 0.4712)  1 Si 1.58
O (0.9711, 0.7644, 0.5288)  1 Si 1.58
O (0.0959, 0.6089, 0.8971)  1 O 1.34
O (0.6903, 0.4358, 0.5177)  1 Si 1.60
O (0.0262, 0.4034, 0.8068)  2 O 1.34
O (0.9041, 0.3911, 0.1029)  1 O 1.34
O (0.6903, 0.0819, 0.5177)  1 Si 1.60
O (0.3097, 0.9181, 0.4823)  1 Si 1.60
O (0.9738, 0.5966, 0.1932)  2 O 1.34
Si (0.8354, 0.2638, 0.5277)  3 O 1.58-1.60
Si (0.1646, 0.7362, 0.4723)  3 O 1.58-1.60
U (0.3595, 0.2465, 0.4931)  2 O 1.79-1.85
U (0.6405, 0.7535, 0.5069)  2 O 1.79-1.85
Mg (0.0000, 0.0000, 0.0000)  4 O 2.03-2.08

Summary:
- ΔE_f: -35.33 eV per formula unit
- Excess energy over the best structure of this formula in the dataset: 215.2 meV per atom
- Calculated total energy: -6.9315 eV per atom
- Mass density: 3.9 g cm⁻³
- M_tot: 3.08 μB per formula unit



No. 3
VASP calculation (PBE) on a geometry-optimized Y2Mg3Si3O12 structure.

a = 10.6566 Å, b = 10.6566 Å, c = 10.6566 Å
α = 109.47°, β = 109.47°, γ = 109.47°
With the nearest neighbours (Å) after each atom.
Sites, in units of the cell vectors:
O (0.3706, 0.8932, 0.5969)  1 Si 1.66
O (0.2737, 0.3706, 0.4775)  1 Si 1.66
O (0.2263, 0.2038, 0.5969)  1 Si 1.66
O (0.0225, 0.1294, 0.2263)  1 Si 1.66
O (0.2962, 0.0225, 0.8932)  1 Si 1.66
O (0.6068, 0.1294, 0.9031)  1 Si 1.66
O (0.4031, 0.7737, 0.7962)  1 Si 1.66
O (0.3932, 0.8706, 0.0969)  1 Si 1.66
O (0.2962, 0.2737, 0.9031)  1 Si 1.66
O (0.2737, 0.9031, 0.2962)  1 Si 1.66
O (0.7038, 0.7263, 0.0969)  1 Si 1.66
O (0.5969, 0.3706, 0.8932)  1 Si 1.66
O (0.2263, 0.0225, 0.1294)  1 Si 1.66
O (0.4775, 0.2737, 0.3706)  1 Si 1.66
O (0.1068, 0.4031, 0.6294)  1 Si 1.66
O (0.0225, 0.8932, 0.2962)  1 Si 1.66
O (0.9031, 0.6068, 0.1294)  1 Si 1.66
O (0.7962, 0.4031, 0.7737)  1 Si 1.66
O (0.4775, 0.2038, 0.6068)  1 Si 1.66
O (0.7263, 0.0969, 0.7038)  1 Si 1.66
O (0.9031, 0.2962, 0.2737)  1 Si 1.66
O (0.0969, 0.3932, 0.8706)  1 Si 1.66
O (0.0969, 0.7038, 0.7263)  1 Si 1.66
O (0.8706, 0.0969, 0.3932)  1 Si 1.66
O (0.8932, 0.5969, 0.3706)  1 Si 1.66
O (0.5225, 0.7962, 0.3932)  1 Si 1.66
O (0.6068, 0.4775, 0.2038)  1 Si 1.66
O (0.2038, 0.5969, 0.2263)  1 Si 1.66
O (0.1294, 0.9031, 0.6068)  1 Si 1.66
O (0.9775, 0.8706, 0.7737)  1 Si 1.66
O (0.8706, 0.7737, 0.9775)  1 Si 1.66
O (0.2038, 0.6068, 0.4775)  1 Si 1.66
O (0.5969, 0.2263, 0.2038)  1 Si 1.66
O (0.6294, 0.5225, 0.7263)  1 Si 1.66
O (0.5225, 0.7263, 0.6294)  1 Si 1.66
O (0.7962, 0.3932, 0.5225)  1 Si 1.66
O (0.4031, 0.6294, 0.1068)  1 Si 1.66
O (0.7737, 0.7962, 0.4031)  1 Si 1.66
O (0.8932, 0.2962, 0.0225)  1 Si 1.66
O (0.3706, 0.4775, 0.2737)  1 Si 1.66
O (0.7737, 0.9775, 0.8706)  1 Si 1.66
O (0.9775, 0.1068, 0.7038)  1 Si 1.66
O (0.1294, 0.2263, 0.0225)  1 Si 1.66
O (0.6294, 0.1068, 0.4031)  1 Si 1.66
O (0.1068, 0.7038, 0.9775)  1 Si 1.66
O (0.7038, 0.9775, 0.1068)  1 Si 1.66
O (0.7263, 0.6294, 0.5225)  1 Si 1.66
O (0.3932, 0.5225, 0.7962)  1 Si 1.66
Si (0.2500, 0.8750, 0.1250)  4 O 1.66
Si (0.1250, 0.8750, 0.7500)  4 O 1.66
Si (0.6250, 0.3750, 0.7500)  4 O 1.66
Si (0.6250, 0.2500, 0.3750)  4 O 1.66
Si (0.2500, 0.3750, 0.6250)  4 O 1.66
Si (0.7500, 0.6250, 0.3750)  4 O 1.66
Si (0.8750, 0.1250, 0.2500)  4 O 1.66
Si (0.8750, 0.7500, 0.1250)  4 O 1.66
Si (0.7500, 0.1250, 0.8750)  4 O 1.66
Si (0.3750, 0.7500, 0.6250)  4 O 1.66
Si (0.3750, 0.6250, 0.2500)  4 O 1.66
Si (0.1250, 0.2500, 0.8750)  4 O 1.66
Y (0.5000, 0.0000, 0.0000)  6 O 2.23
Y (0.5000, 0.0000, 0.5000)  6 O 2.23
Y (0.0000, 0.0000, 0.5000)  6 O 2.23
Y (0.5000, 0.5000, 0.5000)  6 O 2.23
Y (0.0000, 0.5000, 0.0000)  6 O 2.23
Y (0.0000, 0.5000, 0.5000)  6 O 2.23
Y (0.5000, 0.5000, 0.0000)  6 O 2.23
Y (0.0000, 0.0000, 0.0000)  6 O 2.23
Mg (0.1250, 0.7500, 0.3750)  8 O 2.36-2.44
Mg (0.8750, 0.2500, 0.6250)  8 O 2.36-2.44
Mg (0.6250, 0.8750, 0.2500)  8 O 2.36-2.44
Mg (0.1250, 0.3750, 0.2500)  8 O 2.36-2.44
Mg (0.3750, 0.2500, 0.1250)  8 O 2.36-2.44
Mg (0.7500, 0.8750, 0.6250)  8 O 2.36-2.44
Mg (0.3750, 0.1250, 0.7500)  8 O 2.36-2.44
Mg (0.6250, 0.7500, 0.8750)  8 O 2.36-2.44
Mg (0.2500, 0.6250, 0.8750)  8 O 2.36-2.44
Mg (0.8750, 0.6250, 0.7500)  8 O 2.36-2.44
Mg (0.7500, 0.3750, 0.1250)  8 O 2.36-2.44
Mg (0.2500, 0.1250, 0.3750)  8 O 2.36-2.44

Summary:
- ΔE_f: -65.41 eV per formula unit
- Calculated total energy: -7.5274 eV per atom
- Mass density: 3.8 g cm⁻³
- M_tot: 0.00 μB per formula unit



No. 4
VASP calculation (PBE) on a geometry-optimized YMg4Si4O12 structure.

a = 11.7502 Å, b = 11.7502 Å, c = 11.7502 Å
α = 102.96°, β = 123.46°, γ = 102.96°
With the nearest neighbours (Å) after each atom.
Sites, in units of the cell vectors:
Si (0.9958, 0.8430, 0.4279)  3 O 1.65-1.69
Si (0.2542, 0.6570, 0.3221)  3 O 1.65-1.69
Si (0.8472, 0.4321, 0.0042)  3 O 1.65-1.69
Si (0.1250, 0.2500, 0.3750)  2 O 1.72
Si (0.6250, 0.2500, 0.8750)  2 O 1.62
Si (0.5849, 0.1570, 0.1528)  3 O 1.65-1.69
Si (0.6250, 0.2500, 0.3750)  2 O 1.62
Si (0.5721, 0.5679, 0.4151)  3 O 1.65-1.69
Si (0.6250, 0.7500, 0.8750)  2 O 1.72
Si (0.6250, 0.7500, 0.3750)  2 O 1.62
Si (0.1250, 0.2500, 0.8750)  2 O 1.72
Si (0.4028, 0.0679, 0.7458)  3 O 1.65-1.69
Si (0.6651, 0.3430, 0.5972)  3 O 1.65-1.69
Si (0.6779, 0.9321, 0.3349)  3 O 1.65-1.69
Si (0.1250, 0.7500, 0.3750)  2 O 1.62
Si (0.1250, 0.7500, 0.8750)  2 O 1.72
O (0.4336, 0.6645, 0.7722)  1 Si 1.72
O (0.4356, 0.0199, 0.0171)  1 Si 1.65
O (0.8434, 0.7110, 0.2773)  1 Si 1.67
O (0.2309, 0.3387, 0.5664)  1 Si 1.72
O (0.2639, 0.9407, 0.2355)  1 O 1.36
O (0.5273, 0.9339, 0.3163)  1 Si 1.67
O (0.7264, 0.1379, 0.1591)  1 Si 1.69
O (0.4091, 0.9328, 0.7712)  1 Si 1.69
O (0.6656, 0.9184, 0.1856)  1 Si 1.65
O (0.9861, 0.5593, 0.5145)  1 O 1.36
O (0.4066, 0.7890, 0.4727)  1 Si 1.67
O (0.2948, 0.0593, 0.3231)  1 O 1.36
O (0.5148, 0.3215, 0.8184)  1 Si 1.62
O (0.8409, 0.5672, 0.9788)  1 Si 1.69
O (0.5844, 0.5816, 0.5644)  1 Si 1.65
O (0.1078, 0.3355, 0.7691)  1 Si 1.72
O (0.5236, 0.3621, 0.5909)  1 Si 1.69
O (0.0684, 0.8036, 0.2469)  1 Si 1.62
O (0.6837, 0.2110, 0.6175)  1 Si 1.67
O (0.7227, 0.5661, 0.4337)  1 Si 1.67
O (0.0191, 0.1613, 0.1836)  1 Si 1.72
O (0.2671, 0.0816, 0.7472)  1 Si 1.65
O (0.8385, 0.0672, 0.4764)  1 Si 1.69
O (0.7352, 0.1785, 0.9316)  1 Si 1.62
O (0.5663, 0.2890, 0.1325)  1 Si 1.67
O (0.4433, 0.1964, 0.2648)  1 Si 1.62
O (0.9829, 0.4184, 0.0028)  1 Si 1.65
O (0.0222, 0.8387, 0.8578)  1 Si 1.72
O (0.2528, 0.5199, 0.3344)  1 Si 1.65
O (0.8675, 0.4339, 0.1566)  1 Si 1.67
O (0.4855, 0.4716, 0.0448)  1 O 1.36
O (0.3825, 0.0661, 0.5934)  1 Si 1.67
O (0.8067, 0.3036, 0.4852)  1 Si 1.62
O (0.8144, 0.4801, 0.7329)  1 Si 1.65
O (0.7645, 0.0284, 0.7052)  1 O 1.36
O (0.1816, 0.6964, 0.5031)  1 Si 1.62
O (0.0212, 0.8621, 0.5885)  1 Si 1.69
O (0.4969, 0.6785, 0.1933)  1 Si 1.62
O (0.9552, 0.4407, 0.4269)  1 O 1.36
O (0.5731, 0.5284, 0.0139)  1 O 1.36
O (0.2278, 0.6613, 0.8922)  1 Si 1.72
O (0.4115, 0.4328, 0.2736)  1 Si 1.69
O (0.9972, 0.9801, 0.4156)  1 Si 1.65
O (0.2288, 0.6379, 0.1615)  1 Si 1.69
O (0.8164, 0.8355, 0.9778)  1 Si 1.72
O (0.7531, 0.8215, 0.5567)  1 Si 1.62
O (0.6769, 0.9716, 0.7361)  1 O 1.36
O (0.1422, 0.1645, 0.9809)  1 Si 1.72
Mg (0.2018, 0.4436, 0.1304)  4 O 2.03-2.15
Mg (0.8696, 0.0713, 0.3131)  4 O 2.03-2.15
Mg (0.8513, 0.7218, 0.1055)  3 O 1.92-2.10
Mg (0.3804, 0.4287, 0.4369)  4 O 2.03-2.15
Mg (0.0082, 0.5713, 0.9518)  4 O 2.03-2.15
Mg (0.8945, 0.7459, 0.6163)  3 O 1.92-2.10
Mg (0.0482, 0.0564, 0.6196)  4 O 2.03-2.15
Mg (0.3987, 0.7782, 0.6445)  3 O 1.92-2.10
Mg (0.3555, 0.7541, 0.1337)  3 O 1.92-2.10
Mg (0.6869, 0.5564, 0.7582)  4 O 2.03-2.15
Mg (0.5631, 0.9436, 0.9918)  4 O 2.03-2.15
Mg (0.8663, 0.2218, 0.6204)  3 O 1.92-2.10
Mg (0.2418, 0.9287, 0.7982)  4 O 2.03-2.15
Mg (0.3837, 0.2782, 0.1296)  3 O 1.92-2.10
Mg (0.8704, 0.2541, 0.1487)  3 O 1.92-2.10
Mg (0.3796, 0.2459, 0.6013)  3 O 1.92-2.10
Y (0.0000, 0.0000, 0.0000)  4 O 2.40
Y (0.7500, 0.5000, 0.2500)  8 O 2.34-2.55
Y (0.2500, 0.5000, 0.7500)  4 O 2.40
Y (0.5000, 0.0000, 0.5000)  8 O 2.34-2.55

Summary:
- ΔE_f: -40.63 eV per formula unit
- Calculated total energy: -6.3163 eV per atom
- Mass density: 2.7 g cm⁻³
- M_tot: 2.84 μB per formula unit



No. 5
VASP calculation (PBE) on a geometry-optimized Mg14ZnSiO16 structure.

a = 8.5919 Å, b = 8.5919 Å, c = 4.2955 Å
α = 90.00°, β = 90.00°, γ = 90.00°
With the nearest neighbours (Å) after each atom.
Sites, in units of the cell vectors:
Mg (0.5000, 0.7530, 0.5000)  6 O 2.12-2.17
Mg (0.7501, 0.0000, 0.5000)  6 O 2.15
Mg (0.0000, 0.7501, 0.5000)  6 O 2.15
Mg (0.2499, 0.0000, 0.5000)  6 O 2.15
Mg (0.0000, 0.2499, 0.5000)  6 O 2.15
Mg (0.7514, 0.2486, 0.0000)  6 O 2.14-2.16
Mg (0.5000, 0.2470, 0.5000)  6 O 2.12-2.17
Mg (0.7530, 0.5000, 0.5000)  6 O 2.12-2.17
Mg (0.7514, 0.7514, 0.0000)  6 O 2.14-2.16
Mg (0.0000, 0.5000, 0.0000)  6 O 2.06-2.15
Mg (0.2486, 0.7514, 0.0000)  6 O 2.14-2.16
Mg (0.2486, 0.2486, 0.0000)  6 O 2.14-2.16
Mg (0.5000, 0.0000, 0.0000)  6 O 2.06-2.15
Mg (0.2470, 0.5000, 0.5000)  6 O 2.12-2.17
O (0.2504, 0.7496, 0.5000)  6 Mg 2.14-2.15
O (0.2504, 0.2504, 0.5000)  6 Mg 2.14-2.15
O (0.7607, 0.5000, 0.0000)  5 Mg 2.06-2.16, 1 Si 2.24
O (0.0000, 0.5000, 0.5000)  6 Mg 2.12-2.15
O (0.0000, 0.2520, 0.0000)  5 Mg 2.13-2.15, 1 Zn 2.17
O (0.7496, 0.7496, 0.5000)  6 Mg 2.14-2.15
O (0.2520, 0.0000, 0.0000)  5 Mg 2.13-2.15, 1 Zn 2.17
O (0.7496, 0.2504, 0.5000)  6 Mg 2.14-2.15
O (0.0000, 0.0000, 0.5000)  4 Mg 2.15, 2 Zn 2.15
O (0.5000, 0.2393, 0.0000)  5 Mg 2.06-2.16, 1 Si 2.24
O (0.5000, 0.0000, 0.5000)  6 Mg 2.12-2.15
O (0.0000, 0.7480, 0.0000)  5 Mg 2.13-2.15, 1 Zn 2.17
O (0.5000, 0.7607, 0.0000)  5 Mg 2.06-2.16, 1 Si 2.24
O (0.5000, 0.5000, 0.5000)  2 Si 2.15, 4 Mg 2.17
O (0.2393, 0.5000, 0.0000)  5 Mg 2.06-2.16, 1 Si 2.24
O (0.7480, 0.0000, 0.0000)  5 Mg 2.13-2.15, 1 Zn 2.17
Zn (0.0000, 0.0000, 0.0000)  6 O 2.15-2.17
Si (0.5000, 0.5000, 0.0000)  6 O 2.15-2.24

Summary:
- ΔE_f: -89.66 eV per formula unit
- Calculated total energy: -5.8414 eV per atom
- Mass density: 3.6 g cm⁻³
- M_tot: 0.00 μB per formula unit



Question: The highest mass density belongs to which entry?
Answer: number 2



Please write out number 2 again, unchanged.
VASP calculation (PBE) on a geometry-optimized MgU2Si2O18 structure.

a = 6.9448 Å, b = 7.1485 Å, c = 8.7250 Å
α = 114.18°, β = 111.52°, γ = 90.00°
With the nearest neighbours (Å) after each atom.
Sites, in units of the cell vectors:
O (0.7944, 0.0659, 0.1318)  1 Mg 2.08
O (0.7394, 0.8804, 0.7607)  1 U 1.85, 1 Mg 2.03
O (0.9041, 0.7118, 0.1029)  1 O 1.34
O (0.2606, 0.1196, 0.2393)  1 U 1.85, 1 Mg 2.03
O (0.5423, 0.6308, 0.2616)  1 U 1.79
O (0.0959, 0.2882, 0.8971)  1 O 1.34
O (0.4577, 0.3692, 0.7384)  1 U 1.79
O (0.3097, 0.5642, 0.4823)  1 Si 1.60
O (0.2056, 0.9341, 0.8682)  1 Mg 2.08
O (0.0289, 0.2356, 0.4712)  1 Si 1.58
O (0.9711, 0.7644, 0.5288)  1 Si 1.58
O (0.0959, 0.6089, 0.8971)  1 O 1.34
O (0.6903, 0.4358, 0.5177)  1 Si 1.60
O (0.0262, 0.4034, 0.8068)  2 O 1.34
O (0.9041, 0.3911, 0.1029)  1 O 1.34
O (0.6903, 0.0819, 0.5177)  1 Si 1.60
O (0.3097, 0.9181, 0.4823)  1 Si 1.60
O (0.9738, 0.5966, 0.1932)  2 O 1.34
Si (0.8354, 0.2638, 0.5277)  3 O 1.58-1.60
Si (0.1646, 0.7362, 0.4723)  3 O 1.58-1.60
U (0.3595, 0.2465, 0.4931)  2 O 1.79-1.85
U (0.6405, 0.7535, 0.5069)  2 O 1.79-1.85
Mg (0.0000, 0.0000, 0.0000)  4 O 2.03-2.08

Summary:
- ΔE_f: -35.33 eV per formula unit
- Excess energy over the best structure of this formula in the dataset: 215.2 meV per atom
- Calculated total energy: -6.9315 eV per atom
- Mass density: 3.9 g cm⁻³
- M_tot: 3.08 μB per formula unit



Question: Which formula does entry 3 have?
Answer: Y2Mg3Si3O12



Question: What is the formula in the first record?
Answer: MgU2Si2O18